Density functional theory data (r2SCAN) for a relaxed structure of Sb28Mo9Ru3.

## Properties
- energy relative to the elements (eV/atom) = -0.082
- magnetic moment (Bohr magnetons per cell) = 0.00

```
Sb28Mo9Ru3
1.0
6.768 -4.757 0.000
6.768 4.757 0.000
-0.070 0.000 13.556
Sb Mo Ru
28 9 3
direct
0.000 0.675 0.838
0.001 0.325 0.838
0.001 0.501 0.087
0.002 0.502 0.588
0.123 0.123 0.214
0.125 0.125 0.462
0.162 0.838 0.000
0.164 0.839 0.676
0.175 0.500 0.338
0.325 0.001 0.838
0.338 0.662 0.175
0.338 0.663 0.501
0.374 0.374 0.964
0.375 0.375 0.712
0.500 0.175 0.338
0.500 0.825 0.338
0.501 0.001 0.087
0.502 0.002 0.588
0.626 0.626 0.715
0.626 0.626 0.962
0.662 0.338 0.175
0.663 0.338 0.501
0.675 0.000 0.838
0.825 0.500 0.338
0.838 0.162 0.000
0.839 0.164 0.676
0.875 0.875 0.466
0.876 0.876 0.212
0.158 0.839 0.339
0.170 0.170 0.009
0.327 0.327 0.511
0.328 0.328 0.169
0.341 0.658 0.838
0.658 0.341 0.838
0.826 0.826 0.011
0.827 0.827 0.665
0.839 0.158 0.339
0.169 0.169 0.668
0.669 0.669 0.170
0.669 0.669 0.507
```